(1)
# Ba3NbAs3O

A relaxed structure of Ba3NbAs3O (PBE-GGA, the Materials Project database).

Uncorrected energy in eV/atom: -5.7799
SG: No. 62
ΔH_f (0 K) in kJ per mole of atoms: -146.5

Unit cell a=6.820 b=11.255 c=13.677 alpha=90.00 beta=90.00 gamma=90.00
Positions (direct):
1 Ba 0.227 0.750 0.372
2 Ba 0.243 0.455 0.131
3 Ba 0.743 0.455 0.369
4 Ba 0.757 0.955 0.869
5 Ba 0.243 0.045 0.131
6 Ba 0.773 0.250 0.628
7 Ba 0.743 0.045 0.369
8 Ba 0.757 0.545 0.869
9 Ba 0.257 0.545 0.631
10 Ba 0.257 0.955 0.631
11 Ba 0.273 0.250 0.872
12 Ba 0.727 0.750 0.128
13 As 0.763 0.556 0.617
14 As 0.763 0.944 0.617
15 As 0.263 0.944 0.883
16 As 0.737 0.444 0.117
17 As 0.263 0.556 0.883
18 As 0.227 0.750 0.133
19 As 0.737 0.056 0.117
20 As 0.273 0.250 0.633
21 As 0.237 0.444 0.383
22 As 0.727 0.750 0.367
23 As 0.773 0.250 0.867
24 As 0.237 0.056 0.383
25 O 0.619 0.250 0.447
26 O 0.119 0.250 0.053
27 O 0.381 0.750 0.553
28 O 0.881 0.750 0.947
29 Nb 0.340 0.250 0.455
30 Nb 0.840 0.250 0.045
31 Nb 0.160 0.750 0.955
32 Nb 0.660 0.750 0.545

***

(2)
# Na6Nb3Al5P12O48

A relaxed structure of Na6Nb3Al5P12O48 (PBE-GGA, the Materials Project database).

Uncorrected energy in eV/atom: -7.3158
SG: No. 1
ΔH_f (0 K) in kJ per mole of atoms: -280.2

Unit cell a=17.164 b=8.582 c=22.088 alpha=90.04 beta=89.97 gamma=120.00
Positions (direct):
1 O 0.753 0.361 0.424
2 O 0.682 0.871 0.858
3 O 0.844 0.166 0.742
4 O 0.094 0.160 0.091
5 O 0.680 0.494 0.077
6 O 0.986 0.812 0.092
7 O 0.917 0.313 0.241
8 O 0.267 0.695 0.973
9 O 0.319 0.133 0.139
10 O 0.753 0.641 0.577
11 O 0.344 0.166 0.742
12 O 0.759 0.831 0.757
13 O 0.350 0.165 0.026
14 O 0.902 0.829 0.909
15 O 0.984 0.794 0.805
16 O 0.927 0.361 0.924
17 O 0.568 0.495 0.578
18 O 0.900 0.967 0.693
19 O 0.747 0.132 0.643
20 O 0.818 0.503 0.641
21 O 0.416 0.517 0.741
22 O 0.102 0.030 0.306
23 O 0.519 0.836 0.694
24 O 0.152 0.827 0.257
25 O 0.566 0.633 0.359
26 O 0.753 0.865 0.077
27 O 0.564 0.495 0.858
28 O 0.486 0.161 0.592
29 O 0.427 0.493 0.425
30 O 0.984 0.173 0.305
31 O 0.653 0.467 0.472
32 O 0.253 0.360 0.425
33 O 0.064 0.634 0.358
34 O 0.927 0.493 0.424
35 O 0.594 0.161 0.092
36 O 0.402 0.829 0.910
37 O 0.587 0.477 0.257
38 O 0.254 0.146 0.924
39 O 0.417 0.301 0.528
40 O 0.585 0.976 0.910
41 O 0.586 0.196 0.410
42 O 0.417 0.534 0.026
43 O 0.418 0.310 0.244
44 O 0.753 0.146 0.924
45 O 0.402 0.975 0.409
46 O 0.400 0.967 0.693
47 O 0.083 0.205 0.694
48 O 0.153 0.479 0.758
49 O 0.268 0.839 0.473
50 O 0.512 0.195 0.909
51 O 0.012 0.195 0.909
52 O 0.252 0.863 0.077
53 O 0.183 0.871 0.858
54 O 0.917 0.533 0.027
55 O 0.247 0.132 0.643
56 O 0.183 0.498 0.359
57 O 0.584 0.689 0.757
58 O 0.065 0.495 0.858
59 O 0.234 0.167 0.528
60 O 0.986 0.161 0.592
61 O 0.081 0.695 0.472
62 O 0.427 0.361 0.924
63 O 0.920 0.810 0.592
64 O 0.604 0.172 0.805
65 O 0.179 0.495 0.077
66 O 0.413 0.798 0.306
67 O 0.902 0.975 0.410
68 O 0.767 0.839 0.473
69 O 0.414 0.034 0.805
70 O 0.654 0.479 0.758
71 O 0.434 0.362 0.643
72 O 0.237 0.164 0.243
73 O 0.820 0.493 0.925
74 O 0.068 0.496 0.578
75 O 0.899 0.831 0.193
76 O 0.086 0.196 0.410
77 O 0.233 0.300 0.026
78 O 0.153 0.839 0.972
79 O 0.585 0.967 0.193
80 O 0.739 0.169 0.241
81 O 0.084 0.480 0.257
82 O 0.512 0.828 0.410
83 O 0.914 0.034 0.805
84 O 0.916 0.301 0.528
85 O 0.680 0.865 0.578
86 O 0.844 0.521 0.242
87 O 0.012 0.830 0.409
88 O 0.251 0.633 0.860
89 O 0.653 0.838 0.972
90 O 0.400 0.833 0.192
91 O 0.095 0.029 0.592
92 O 0.083 0.963 0.193
93 O 0.820 0.146 0.425
94 O 0.240 0.308 0.742
95 O 0.251 0.868 0.359
96 O 0.486 0.812 0.091
97 O 0.747 0.362 0.143
98 O 0.017 0.200 0.192
99 O 0.583 0.205 0.694
100 O 0.569 0.642 0.077
101 O 0.751 0.633 0.860
102 O 0.818 0.134 0.141
103 O 0.768 0.696 0.973
104 O 0.759 0.686 0.257
105 O 0.734 0.167 0.528
106 O 0.253 0.641 0.577
107 O 0.420 0.810 0.592
108 O 0.318 0.503 0.641
109 O 0.067 0.641 0.077
110 O 0.850 0.535 0.526
111 O 0.320 0.493 0.924
112 O 0.019 0.836 0.694
113 O 0.350 0.535 0.527
114 O 0.733 0.300 0.027
115 O 0.916 0.517 0.741
116 O 0.518 0.203 0.194
117 O 0.654 0.828 0.258
118 O 0.934 0.362 0.643
119 O 0.595 0.029 0.592
120 O 0.751 0.869 0.360
121 O 0.345 0.529 0.243
122 O 0.180 0.864 0.578
123 O 0.320 0.146 0.425
124 O 0.483 0.794 0.805
125 O 0.919 0.028 0.091
126 O 0.246 0.362 0.139
127 O 0.085 0.976 0.910
128 O 0.434 0.507 0.139
129 O 0.152 0.465 0.473
130 O 0.580 0.695 0.473
131 O 0.915 0.795 0.305
132 O 0.581 0.467 0.972
133 O 0.420 0.028 0.091
134 O 0.260 0.694 0.257
135 O 0.740 0.308 0.741
136 O 0.081 0.466 0.971
137 O 0.683 0.495 0.357
138 O 0.603 0.035 0.304
139 O 0.104 0.171 0.805
140 O 0.850 0.166 0.026
141 O 0.084 0.689 0.757
142 O 0.259 0.831 0.757
143 O 0.934 0.506 0.143
144 O 0.485 0.173 0.306
145 Na 0.499 0.364 0.747
146 Na 0.682 0.999 0.748
147 Na 0.668 0.677 0.170
148 Na 0.998 0.997 0.005
149 Na 0.684 0.366 0.249
150 Na 0.998 0.630 0.249
151 Na 0.171 0.666 0.667
152 Na 0.000 0.999 0.505
153 Na 0.169 0.665 0.170
154 Na 0.502 0.003 0.005
155 Na 0.671 0.666 0.667
156 Na 0.333 0.341 0.835
157 Na 0.999 0.364 0.747
158 Na 0.333 0.334 0.339
159 Na 0.833 0.340 0.836
160 Na 0.182 0.999 0.747
161 Na 0.833 0.324 0.336
162 Na 0.500 0.000 0.505
163 P 0.673 0.959 0.915
164 P 0.354 0.720 0.248
165 P 0.000 0.291 0.246
166 P 0.839 0.619 0.584
167 P 0.471 0.322 0.585
168 P 0.020 0.656 0.415
169 P 0.521 0.653 0.416
170 P 0.172 0.960 0.915
171 P 0.521 0.386 0.915
172 P 0.173 0.386 0.416
173 P 0.673 0.387 0.415
174 P 0.147 0.296 0.747
175 P 0.503 0.291 0.249
176 P 0.853 0.994 0.746
177 P 0.808 0.655 0.915
178 P 0.142 0.994 0.248
179 P 0.970 0.620 0.085
180 P 0.806 0.959 0.416
181 P 0.998 0.707 0.746
182 P 0.020 0.384 0.915
183 P 0.690 0.059 0.585
184 P 0.190 0.059 0.585
185 P 0.498 0.707 0.746
186 P 0.646 0.995 0.247
187 P 0.307 0.655 0.916
188 P 0.647 0.296 0.747
189 P 0.186 0.320 0.081
190 P 0.474 0.627 0.081
191 P 0.353 0.994 0.747
192 P 0.690 0.321 0.085
193 P 0.339 0.619 0.584
194 P 0.340 0.053 0.081
195 P 0.853 0.711 0.247
196 P 0.307 0.959 0.415
197 P 0.839 0.060 0.084
198 P 0.971 0.322 0.585
199 Al 0.999 0.999 0.644
200 Al 0.502 0.000 0.147
201 Al 0.333 0.333 0.482
202 Al 0.499 0.999 0.644
203 Al 0.334 0.334 0.980
204 Al 0.834 0.334 0.482
205 Al 0.997 0.999 0.146
206 Al 0.833 0.338 0.683
207 Al 0.833 0.332 0.982
208 Al 0.669 0.666 0.815
209 Al 0.667 0.674 0.315
210 Al 0.169 0.665 0.315
211 Al 0.833 0.326 0.185
212 Al 0.333 0.338 0.683
213 Al 0.170 0.666 0.815
214 Nb 0.333 0.336 0.188
215 Nb 0.000 0.999 0.855
216 Nb 0.165 0.666 0.024
217 Nb 0.167 0.667 0.524
218 Nb 0.501 0.999 0.356
219 Nb 0.669 0.667 0.025
220 Nb 0.667 0.667 0.525
221 Nb 0.999 0.002 0.356
222 Nb 0.500 0.999 0.855

***

(3)
# BiC8N4Cl7

A relaxed structure of BiC8N4Cl7 (PBE-GGA, the Materials Project database).

Uncorrected energy in eV/atom: -5.3314
SG: No. 18
ΔH_f (0 K) in kJ per mole of atoms: 63.1

Unit cell a=8.575 b=9.848 c=16.146 alpha=90.00 beta=90.00 gamma=90.00
Positions (direct):
1 Cl 0.332 0.393 0.097
2 Cl 0.158 0.276 0.894
3 Cl 0.668 0.893 0.403
4 Cl 0.158 0.724 0.106
5 Cl 0.332 0.607 0.903
6 Cl 0.154 0.856 0.349
7 Cl 0.846 0.356 0.151
8 Cl 0.154 0.144 0.651
9 Cl 0.396 0.500 0.500
10 Cl 0.668 0.107 0.597
11 Cl 0.842 0.224 0.394
12 Cl 0.846 0.644 0.849
13 Cl 0.604 0.000 0.000
14 Cl 0.842 0.776 0.606
15 N 0.018 0.851 0.829
16 N 0.018 0.149 0.171
17 N 0.549 0.701 0.588
18 N 0.982 0.649 0.329
19 N 0.549 0.299 0.412
20 N 0.982 0.351 0.671
21 N 0.451 0.201 0.912
22 N 0.451 0.799 0.088
23 C 0.434 0.687 0.543
24 C 0.130 0.088 0.196
25 C 0.434 0.313 0.457
26 C 0.638 0.275 0.351
27 C 0.362 0.225 0.851
28 C 0.566 0.187 0.957
29 C 0.362 0.775 0.149
30 C 0.115 0.314 0.635
31 C 0.870 0.588 0.304
32 C 0.885 0.814 0.865
33 C 0.885 0.186 0.135
34 C 0.566 0.813 0.043
35 C 0.130 0.912 0.804
36 C 0.870 0.412 0.696
37 C 0.638 0.725 0.649
38 C 0.115 0.686 0.365
39 Bi 0.150 0.500 0.000
40 Bi 0.850 0.000 0.500

***

(4)
# MgSi2

A relaxed structure of MgSi2 (PBE-GGA, the Materials Project database).

Uncorrected energy in eV/atom: -4.0336
SG: No. 1
ΔH_f (0 K) in kJ per mole of atoms: 15.8

Unit cell a=3.725 b=5.231 c=12.951 alpha=104.97 beta=74.06 gamma=96.19
Positions (direct):
1 Mg 0.337 0.986 0.935
2 Mg 0.105 0.029 0.712
3 Mg 0.630 0.603 0.060
4 Mg 0.836 0.960 0.286
5 Si 0.850 0.512 0.390
6 Si 0.293 0.724 0.486
7 Si 0.912 0.418 0.604
8 Si 0.846 0.593 0.799
9 Si 0.504 0.128 0.139
10 Si 0.986 0.422 0.194
11 Si 0.462 0.192 0.510
12 Si 0.239 0.434 0.885